# 1
## Ba4NaGa2B8Br3O18 (GGA-PBE)

Data for a relaxed structure of Ba4NaGa2B8Br3O18.

Cell lengths 6.9892, 12.3901, 12.3901 Å; angles 90.00, 90.00, 90.00 degrees
Element x y z (fractional)
B: 0.1429 0.2670 0.7330
B: 0.3181 0.8162 0.8162
B: 0.5529 0.0368 0.2327
B: 0.0529 0.2673 0.5368
B: 0.0529 0.4632 0.7327
B: 0.0529 0.5368 0.2673
B: 0.6429 0.7670 0.7670
B: 0.6429 0.2330 0.2330
B: 0.1429 0.7330 0.2670
B: 0.5529 0.9632 0.7673
B: 0.3181 0.1838 0.1838
B: 0.0529 0.7327 0.4632
B: 0.5529 0.2327 0.0368
B: 0.5529 0.7673 0.9632
B: 0.8181 0.3162 0.6838
B: 0.8181 0.6838 0.3162
Na: 0.3596 0.0000 0.0000
Na: 0.8596 0.5000 0.5000
O: 0.1856 0.7564 0.3834
O: 0.9371 0.7525 0.2475
O: 0.6856 0.2564 0.1166
O: 0.1150 0.1992 0.1992
O: 0.8681 0.5640 0.2991
O: 0.7521 0.3035 0.3035
O: 0.4371 0.7475 0.7475
O: 0.1168 0.7377 0.5672
O: 0.9371 0.2475 0.7525
O: 0.2521 0.8035 0.1965
O: 0.6168 0.9328 0.2377
O: 0.7521 0.6965 0.6965
O: 0.8681 0.2991 0.5640
O: 0.3681 0.9360 0.7991
O: 0.2521 0.1965 0.8035
O: 0.4371 0.2525 0.2525
O: 0.6856 0.8834 0.7436
O: 0.1168 0.4328 0.2623
O: 0.6856 0.7436 0.8834
O: 0.6150 0.6992 0.3008
O: 0.3681 0.2009 0.0640
O: 0.1168 0.5672 0.7377
O: 0.3681 0.0640 0.2009
O: 0.1856 0.3834 0.7564
O: 0.6168 0.7623 0.0672
O: 0.8681 0.7009 0.4360
O: 0.1856 0.6166 0.2436
O: 0.3681 0.7991 0.9360
O: 0.6856 0.1166 0.2564
O: 0.8681 0.4360 0.7009
O: 0.6168 0.2377 0.9328
O: 0.1168 0.2623 0.4328
O: 0.6150 0.3008 0.6992
O: 0.1856 0.2436 0.6166
O: 0.6168 0.0672 0.7623
O: 0.1150 0.8008 0.8008
Ga: 0.0176 0.7018 0.7018
Ga: 0.5176 0.2018 0.7982
Ga: 0.0176 0.2982 0.2982
Ga: 0.5176 0.7982 0.2018
Ba: 0.5124 0.4833 0.2261
Ba: 0.0124 0.0167 0.7261
Ba: 0.0124 0.2739 0.9833
Ba: 0.5124 0.5167 0.7739
Ba: 0.5124 0.7739 0.5167
Ba: 0.0124 0.9833 0.2739
Ba: 0.0124 0.7261 0.0167
Ba: 0.5124 0.2261 0.4833
Br: 0.7826 0.5000 0.0000
Br: 0.9338 0.0000 0.0000
Br: 0.4338 0.5000 0.5000
Br: 0.2826 0.5000 0.0000
Br: 0.7826 0.0000 0.5000
Br: 0.2826 0.0000 0.5000

DFT formation energy = -2825 meV/atom
corrected total energy (MP2020 scheme) = -528.4 eV per cell
symmetry = No. 102

=====

# 2
## Ba7GeB3BrO13 (GGA-PBE)

Data for a relaxed structure of Ba7GeB3BrO13.

Cell lengths 7.5670, 11.3321, 20.6602 Å; angles 90.00, 90.00, 90.00 degrees
Element x y z (fractional)
O: 0.3331 0.6445 0.8040
O: 0.2217 0.7560 0.4020
O: 0.9330 0.7583 0.1869
O: 0.2820 0.5000 0.1653
O: 0.2230 0.0000 0.4849
O: 0.3062 0.6257 0.0456
O: 0.7230 0.0000 0.0151
O: 0.9767 0.5000 0.0808
O: 0.8062 0.6257 0.4544
O: 0.8110 0.8931 0.9198
O: 0.2783 0.7560 0.9020
O: 0.2783 0.2440 0.9020
O: 0.7820 0.5000 0.3347
O: 0.3062 0.3743 0.0456
O: 0.3110 0.1069 0.5802
O: 0.1890 0.1069 0.0802
O: 0.6669 0.6445 0.1960
O: 0.5670 0.7583 0.6869
O: 0.3331 0.3555 0.8040
O: 0.6890 0.1069 0.4198
O: 0.8331 0.3555 0.6960
O: 0.0670 0.7583 0.8131
O: 0.6938 0.3743 0.9544
O: 0.7783 0.7560 0.5980
O: 0.7217 0.2440 0.0980
O: 0.6938 0.6257 0.9544
O: 0.7180 0.5000 0.8347
O: 0.2770 0.0000 0.9849
O: 0.2217 0.2440 0.4020
O: 0.1890 0.8931 0.0802
O: 0.0670 0.2417 0.8131
O: 0.7770 0.0000 0.5151
O: 0.7217 0.7560 0.0980
O: 0.1938 0.3743 0.5456
O: 0.0233 0.5000 0.9192
O: 0.8331 0.6445 0.6960
O: 0.8062 0.3743 0.4544
O: 0.5670 0.2417 0.6869
O: 0.2180 0.5000 0.6653
O: 0.1669 0.3555 0.3040
O: 0.8110 0.1069 0.9198
O: 0.4767 0.5000 0.4192
O: 0.6669 0.3555 0.1960
O: 0.9330 0.2417 0.1869
O: 0.1669 0.6445 0.3040
O: 0.4330 0.2417 0.3131
O: 0.7783 0.2440 0.5980
O: 0.3110 0.8931 0.5802
O: 0.5233 0.5000 0.5808
O: 0.1938 0.6257 0.5456
O: 0.6890 0.8931 0.4198
O: 0.4330 0.7583 0.3131
Ba: 0.5000 0.1883 0.0000
Ba: 0.8659 0.5000 0.5835
Ba: 0.5000 0.8117 0.0000
Ba: 0.5000 0.7308 0.5000
Ba: 0.0000 0.7308 0.0000
Ba: 0.6341 0.5000 0.0835
Ba: 0.5000 0.2692 0.5000
Ba: 0.9677 0.5000 0.2257
Ba: 0.0000 0.1883 0.5000
Ba: 0.0323 0.5000 0.7743
Ba: 0.1341 0.5000 0.4165
Ba: 0.5323 0.5000 0.7257
Ba: 0.8823 0.0000 0.1276
Ba: 0.7912 0.7645 0.3159
Ba: 0.7088 0.7645 0.8159
Ba: 0.2088 0.7645 0.6841
Ba: 0.0000 0.8117 0.5000
Ba: 0.2912 0.7645 0.1841
Ba: 0.1177 0.0000 0.8724
Ba: 0.4677 0.5000 0.2743
Ba: 0.2912 0.2355 0.1841
Ba: 0.3823 0.0000 0.3724
Ba: 0.2088 0.2355 0.6841
Ba: 0.7088 0.2355 0.8159
Ba: 0.6177 0.0000 0.6276
Ba: 0.0000 0.2692 0.0000
Ba: 0.3659 0.5000 0.9165
Ba: 0.7912 0.2355 0.3159
B: 0.7195 0.0000 0.4513
B: 0.2260 0.7217 0.8404
B: 0.7260 0.2783 0.6596
B: 0.2740 0.2783 0.3404
B: 0.2805 0.0000 0.5487
B: 0.7740 0.7217 0.1596
B: 0.7260 0.7217 0.6596
B: 0.2195 0.0000 0.0487
B: 0.2740 0.7217 0.3404
B: 0.7740 0.2783 0.1596
B: 0.7805 0.0000 0.9513
B: 0.2260 0.2783 0.8404
Ge: 0.2910 0.5000 0.5829
Ge: 0.7090 0.5000 0.4171
Ge: 0.7910 0.5000 0.9171
Ge: 0.2090 0.5000 0.0829
Br: 0.0466 0.0000 0.2786
Br: 0.5466 0.0000 0.2214
Br: 0.9534 0.0000 0.7214
Br: 0.4534 0.0000 0.7786

DFT formation energy = -3027 meV/atom
corrected total energy (MP2020 scheme) = -718.9 eV per cell
symmetry = No. 55

=====

# 3
## Ba2B5BrO9 (GGA-PBE)

Data for a relaxed structure of Ba2B5BrO9.

Cell lengths 6.7340, 11.9214, 11.9740 Å; angles 90.00, 90.00, 90.00 degrees
Element x y z (fractional)
O: 0.4956 0.7833 0.8986
O: 0.6007 0.7568 0.7032
O: 0.1651 0.7153 0.9285
O: 0.8369 0.9104 0.7076
O: 0.9244 0.7219 0.7815
O: 0.9956 0.2833 0.6014
O: 0.9956 0.7167 0.3986
O: 0.9244 0.2781 0.2185
O: 0.7258 0.9032 0.2652
O: 0.7566 0.7023 0.2477
O: 0.4244 0.7781 0.2815
O: 0.1007 0.7432 0.2032
O: 0.3953 0.2503 0.9173
O: 0.6651 0.2153 0.5715
O: 0.6007 0.2432 0.2968
O: 0.2566 0.2023 0.2523
O: 0.3369 0.5896 0.2076
O: 0.5030 0.0592 0.2315
O: 0.4956 0.2167 0.1014
O: 0.8953 0.7503 0.5827
O: 0.4244 0.2219 0.7185
O: 0.8953 0.2497 0.4173
O: 0.2258 0.5968 0.7652
O: 0.1651 0.2847 0.0715
O: 0.7566 0.2977 0.7523
O: 0.2566 0.7977 0.7477
O: 0.5030 0.9408 0.7685
O: 0.6651 0.7847 0.4285
O: 0.2258 0.4032 0.2348
O: 0.7258 0.0968 0.7348
O: 0.0030 0.5592 0.2685
O: 0.3953 0.7497 0.0827
O: 0.0030 0.4408 0.7315
O: 0.8369 0.0896 0.2924
O: 0.1007 0.2568 0.7968
O: 0.3369 0.4104 0.7924
B: 0.6835 0.9835 0.7345
B: 0.1371 0.7096 0.8026
B: 0.4646 0.1832 0.2206
B: 0.9646 0.6832 0.2794
B: 0.8448 0.7520 0.4712
B: 0.3147 0.7138 0.1946
B: 0.1371 0.2904 0.1974
B: 0.1835 0.5165 0.2345
B: 0.8147 0.2138 0.3054
B: 0.8147 0.7862 0.6946
B: 0.1835 0.4835 0.7655
B: 0.6835 0.0165 0.2655
B: 0.4646 0.8168 0.7794
B: 0.3147 0.2862 0.8054
B: 0.9646 0.3168 0.7206
B: 0.8448 0.2480 0.5288
B: 0.3448 0.2520 0.0288
B: 0.6371 0.2096 0.6974
B: 0.3448 0.7480 0.9712
B: 0.6371 0.7904 0.3026
Ba: 0.3127 0.2612 0.4694
Ba: 0.8127 0.7612 0.0306
Ba: 0.6546 0.4610 0.2510
Ba: 0.1546 0.0390 0.7510
Ba: 0.1546 0.9610 0.2490
Ba: 0.6546 0.5390 0.7490
Ba: 0.8127 0.2388 0.9694
Ba: 0.3127 0.7388 0.5306
Br: 0.0062 0.0000 0.0000
Br: 0.7407 0.5000 0.0000
Br: 0.5062 0.5000 0.5000
Br: 0.2407 0.0000 0.5000

DFT formation energy = -2977 meV/atom
corrected total energy (MP2020 scheme) = -536.0 eV per cell
symmetry = No. 34

=====

# 4
## Ba3B3Pb2BrO9 (GGA-PBE)

Data for a relaxed structure of Ba3B3Pb2BrO9.

Cell lengths 8.9748, 8.9748, 8.2074 Å; angles 90.00, 90.00, 107.13 degrees
Element x y z (fractional)
Br: 0.9199 0.0801 0.2500
Br: 0.0801 0.9199 0.7500
B: 0.6207 0.6207 0.5000
B: 0.0068 0.5740 0.0410
B: 0.5740 0.0068 0.9590
B: 0.4260 0.9932 0.4590
B: 0.9932 0.4260 0.5410
B: 0.3793 0.3793 0.0000
O: 0.6788 0.6894 0.6498
O: 0.8598 0.4824 0.9935
O: 0.5176 0.1402 0.5065
O: 0.9746 0.2967 0.6419
O: 0.3106 0.3212 0.8502
O: 0.5095 0.5095 0.0000
O: 0.0254 0.7033 0.1419
O: 0.2967 0.9746 0.3581
O: 0.1402 0.5176 0.4935
O: 0.6894 0.6788 0.3502
O: 0.3212 0.3106 0.1498
O: 0.5374 0.1398 0.0122
O: 0.4824 0.8598 0.0065
O: 0.4905 0.4905 0.5000
O: 0.7033 0.0254 0.8581
O: 0.4626 0.8602 0.5122
O: 0.1398 0.5374 0.9878
O: 0.8602 0.4626 0.4878
Ba: 0.7609 0.7609 0.0000
Ba: 0.3528 0.6472 0.7500
Ba: 0.6472 0.3528 0.2500
Ba: 0.6497 0.3503 0.7500
Ba: 0.3503 0.6497 0.2500
Ba: 0.2391 0.2391 0.5000
Pb: 0.0294 0.2707 0.9181
Pb: 0.7293 0.9706 0.5819
Pb: 0.2707 0.0294 0.0819
Pb: 0.9706 0.7293 0.4181

DFT formation energy = -2707 meV/atom
corrected total energy (MP2020 scheme) = -256.2 eV per cell
symmetry = No. 20